No. 1
Entry from the Materials Project database: a relaxed ScV2Ga4 crystal (r²SCAN).

Cell and atoms, written as CIF:
```
data_ScV2Ga4
_symmetry_space_group_name_H-M 'P 1'
_symmetry_Int_Tables_number 1
_cell_length_a 5.2399
_cell_length_b 5.2399
_cell_length_c 5.2399
_cell_angle_alpha 103.97
_cell_angle_beta 103.97
_cell_angle_gamma 121.15
loop_
_symmetry_equiv_pos_as_xyz
'x,y,z'
loop_
_atom_site_label
_atom_site_type_symbol
_atom_site_fract_x
_atom_site_fract_y
_atom_site_fract_z
_atom_site_occupancy
Sc1 Sc 0.0000 0.0000 0.0000 1
V1 V 0.2500 0.7500 0.5000 1
V2 V 0.7500 0.2500 0.5000 1
Ga1 Ga 0.3009 0.3009 0.6017 1
Ga2 Ga 0.3009 0.6991 0.0000 1
Ga3 Ga 0.6991 0.3009 0.0000 1
Ga4 Ga 0.6991 0.6991 0.3983 1
```

The crystal system is tetragonal. Its formation energy is -0.469 eV per atom. Its space group is No. 139.

***

No. 2
Entry from the Materials Project database: a relaxed AsPRh4 crystal (r²SCAN).

Cell and atoms, written as CIF:
```
data_AsPRh4
_symmetry_space_group_name_H-M 'P 1'
_symmetry_Int_Tables_number 1
_cell_length_a 6.8725
_cell_length_b 6.8725
_cell_length_c 6.8725
_cell_angle_alpha 33.49
_cell_angle_beta 33.49
_cell_angle_gamma 33.49
loop_
_symmetry_equiv_pos_as_xyz
'x,y,z'
loop_
_atom_site_label
_atom_site_type_symbol
_atom_site_fract_x
_atom_site_fract_y
_atom_site_fract_z
_atom_site_occupancy
As1 As 0.0000 0.0000 0.0000 1
P1 P 0.5000 0.5000 0.5000 1
Rh1 Rh 0.1278 0.1278 0.1278 1
Rh2 Rh 0.3783 0.3783 0.3783 1
Rh3 Rh 0.6217 0.6217 0.6217 1
Rh4 Rh 0.8722 0.8722 0.8722 1
```

The crystal system is trigonal. Its formation energy is -0.672 eV per atom. Its space group is No. 166.

***

No. 3
Entry from the Materials Project database: a relaxed CaAl9Ni crystal (r²SCAN).

Cell and atoms, written as CIF:
```
data_CaAl9Ni
_symmetry_space_group_name_H-M 'P 1'
_symmetry_Int_Tables_number 1
_cell_length_a 7.5095
_cell_length_b 7.5095
_cell_length_c 7.9039
_cell_angle_alpha 90.00
_cell_angle_beta 90.00
_cell_angle_gamma 120.00
loop_
_symmetry_equiv_pos_as_xyz
'x,y,z'
loop_
_atom_site_label
_atom_site_type_symbol
_atom_site_fract_x
_atom_site_fract_y
_atom_site_fract_z
_atom_site_occupancy
Ca1 Ca 0.0000 0.0000 0.2500 1
Ca2 Ca 0.0000 0.0000 0.7500 1
Al1 Al 0.0467 0.5234 0.2500 1
Al2 Al 0.2086 0.4173 0.5170 1
Al3 Al 0.2086 0.4173 0.9830 1
Al4 Al 0.2086 0.7914 0.5170 1
Al5 Al 0.2086 0.7914 0.9830 1
Al6 Al 0.4173 0.2086 0.0170 1
Al7 Al 0.4173 0.2086 0.4830 1
Al8 Al 0.4766 0.5234 0.2500 1
Al9 Al 0.4766 0.9533 0.2500 1
Al10 Al 0.5234 0.0467 0.7500 1
Al11 Al 0.5234 0.4766 0.7500 1
Al12 Al 0.5827 0.7914 0.5170 1
Al13 Al 0.5827 0.7914 0.9830 1
Al14 Al 0.7914 0.2086 0.0170 1
Al15 Al 0.7914 0.2086 0.4830 1
Al16 Al 0.7914 0.5827 0.0170 1
Al17 Al 0.7914 0.5827 0.4830 1
Al18 Al 0.9533 0.4766 0.7500 1
Ni1 Ni 0.3333 0.6667 0.7500 1
Ni2 Ni 0.6667 0.3333 0.2500 1
```

The crystal system is hexagonal. Its formation energy is -0.253 eV per atom. Its space group is No. 194.

***

No. 4
Entry from the Materials Project database: a relaxed RbFeBr4 crystal (r²SCAN).

Cell and atoms, written as CIF:
```
data_RbFeBr4
_symmetry_space_group_name_H-M 'P 1'
_symmetry_Int_Tables_number 1
_cell_length_a 11.9343
_cell_length_b 7.5317
_cell_length_c 9.8644
_cell_angle_alpha 90.00
_cell_angle_beta 90.00
_cell_angle_gamma 90.00
loop_
_symmetry_equiv_pos_as_xyz
'x,y,z'
loop_
_atom_site_label
_atom_site_type_symbol
_atom_site_fract_x
_atom_site_fract_y
_atom_site_fract_z
_atom_site_occupancy
Rb1 Rb 0.1823 0.2500 0.1611 1
Rb2 Rb 0.3177 0.7500 0.6611 1
Rb3 Rb 0.6823 0.2500 0.3389 1
Rb4 Rb 0.8177 0.7500 0.8389 1
Fe1 Fe 0.0624 0.2500 0.6903 1
Fe2 Fe 0.4376 0.7500 0.1903 1
Fe3 Fe 0.5624 0.2500 0.8097 1
Fe4 Fe 0.9376 0.7500 0.3097 1
Br1 Br 0.0822 0.5024 0.8286 1
Br2 Br 0.0822 0.9976 0.8286 1
Br3 Br 0.1162 0.7500 0.4040 1
Br4 Br 0.2055 0.2500 0.5292 1
Br5 Br 0.2945 0.7500 0.0292 1
Br6 Br 0.3838 0.2500 0.9040 1
Br7 Br 0.4178 0.0024 0.3286 1
Br8 Br 0.4178 0.4976 0.3286 1
Br9 Br 0.5822 0.5024 0.6714 1
Br10 Br 0.5822 0.9976 0.6714 1
Br11 Br 0.6162 0.7500 0.0960 1
Br12 Br 0.7055 0.2500 0.9708 1
Br13 Br 0.7945 0.7500 0.4708 1
Br14 Br 0.8838 0.2500 0.5960 1
Br15 Br 0.9178 0.0024 0.1714 1
Br16 Br 0.9178 0.4976 0.1714 1
```

The crystal system is orthorhombic. Its formation energy is -1.200 eV per atom. Its space group is No. 62.

***

No. 5
Entry from the Materials Project database: a relaxed ErSbPt crystal (r²SCAN).

Cell and atoms, written as CIF:
```
data_ErSbPt
_symmetry_space_group_name_H-M 'P 1'
_symmetry_Int_Tables_number 1
_cell_length_a 4.6187
_cell_length_b 4.6187
_cell_length_c 4.6187
_cell_angle_alpha 60.00
_cell_angle_beta 60.00
_cell_angle_gamma 60.00
loop_
_symmetry_equiv_pos_as_xyz
'x,y,z'
loop_
_atom_site_label
_atom_site_type_symbol
_atom_site_fract_x
_atom_site_fract_y
_atom_site_fract_z
_atom_site_occupancy
Er1 Er 0.0000 0.0000 0.0000 1
Sb1 Sb 0.5000 0.5000 0.5000 1
Pt1 Pt 0.2500 0.2500 0.2500 1
```

The crystal system is cubic. Its formation energy is -1.377 eV per atom. Its space group is No. 216.

***

No. 6
Entry from the Materials Project database: a relaxed BaZn13 crystal (r²SCAN).

Cell and atoms, written as CIF:
```
data_BaZn13
_symmetry_space_group_name_H-M 'P 1'
_symmetry_Int_Tables_number 1
_cell_length_a 8.6345
_cell_length_b 8.6345
_cell_length_c 8.6345
_cell_angle_alpha 60.00
_cell_angle_beta 60.00
_cell_angle_gamma 60.00
loop_
_symmetry_equiv_pos_as_xyz
'x,y,z'
loop_
_atom_site_label
_atom_site_type_symbol
_atom_site_fract_x
_atom_site_fract_y
_atom_site_fract_z
_atom_site_occupancy
Ba1 Ba 0.2500 0.2500 0.2500 1
Ba2 Ba 0.7500 0.7500 0.7500 1
Zn1 Zn 0.0000 0.0000 0.0000 1
Zn2 Zn 0.0590 0.2982 0.7018 1
Zn3 Zn 0.0590 0.7018 0.9410 1
Zn4 Zn 0.0590 0.9410 0.2982 1
Zn5 Zn 0.2018 0.4410 0.7982 1
Zn6 Zn 0.2018 0.5590 0.4410 1
Zn7 Zn 0.2018 0.7982 0.5590 1
Zn8 Zn 0.2982 0.0590 0.9410 1
Zn9 Zn 0.2982 0.7018 0.0590 1
Zn10 Zn 0.2982 0.9410 0.7018 1
Zn11 Zn 0.4410 0.2018 0.5590 1
Zn12 Zn 0.4410 0.5590 0.7982 1
Zn13 Zn 0.4410 0.7982 0.2018 1
Zn14 Zn 0.5000 0.5000 0.5000 1
Zn15 Zn 0.5590 0.2018 0.7982 1
Zn16 Zn 0.5590 0.4410 0.2018 1
Zn17 Zn 0.5590 0.7982 0.4410 1
Zn18 Zn 0.7018 0.0590 0.2982 1
Zn19 Zn 0.7018 0.2982 0.9410 1
Zn20 Zn 0.7018 0.9410 0.0590 1
Zn21 Zn 0.7982 0.2018 0.4410 1
Zn22 Zn 0.7982 0.4410 0.5590 1
Zn23 Zn 0.7982 0.5590 0.2018 1
Zn24 Zn 0.9410 0.0590 0.7018 1
Zn25 Zn 0.9410 0.2982 0.0590 1
Zn26 Zn 0.9410 0.7018 0.2982 1
```

The crystal system is cubic. Its formation energy is -0.198 eV per atom. Its space group is No. 226.

***

No. 7
Entry from the Materials Project database: a relaxed FeH7C4O8 crystal (r²SCAN).

Cell and atoms, written as CIF:
```
data_FeH7C4O8
_symmetry_space_group_name_H-M 'P 1'
_symmetry_Int_Tables_number 1
_cell_length_a 7.4158
_cell_length_b 7.4854
_cell_length_c 8.1713
_cell_angle_alpha 107.07
_cell_angle_beta 95.02
_cell_angle_gamma 113.62
loop_
_symmetry_equiv_pos_as_xyz
'x,y,z'
loop_
_atom_site_label
_atom_site_type_symbol
_atom_site_fract_x
_atom_site_fract_y
_atom_site_fract_z
_atom_site_occupancy
Fe1 Fe 0.1950 0.2005 0.1075 1
Fe2 Fe 0.8050 0.7995 0.8925 1
H1 H 0.0870 0.8477 0.1467 1
H2 H 0.1067 0.4876 0.7894 1
H3 H 0.1658 0.7189 0.9202 1
H4 H 0.2712 0.5546 0.0517 1
H5 H 0.3599 0.6131 0.2607 1
H6 H 0.4135 0.6942 0.7900 1
H7 H 0.4751 0.2442 0.3668 1
H8 H 0.5249 0.7558 0.6332 1
H9 H 0.5865 0.3058 0.2100 1
H10 H 0.6401 0.3869 0.7393 1
H11 H 0.7288 0.4454 0.9483 1
H12 H 0.8342 0.2811 0.0798 1
H13 H 0.8933 0.5124 0.2106 1
H14 H 0.9130 0.1523 0.8533 1
C1 C 0.0718 0.8802 0.6407 1
C2 C 0.1449 0.8812 0.4793 1
C3 C 0.2542 0.0700 0.7435 1
C4 C 0.3280 0.0769 0.5845 1
C5 C 0.6720 0.9231 0.4155 1
C6 C 0.7458 0.9300 0.2565 1
C7 C 0.8551 0.1188 0.5207 1
C8 C 0.9282 0.1198 0.3593 1
O1 O 0.0745 0.7693 0.3206 1
O2 O 0.0803 0.8881 0.0423 1
O3 O 0.0915 0.2345 0.3305 1
O4 O 0.2199 0.6185 0.8715 1
O5 O 0.2646 0.5014 0.1496 1
O6 O 0.3242 0.1924 0.9020 1
O7 O 0.4590 0.2653 0.2532 1
O8 O 0.4801 0.2052 0.5554 1
O9 O 0.5199 0.7948 0.4446 1
O10 O 0.5410 0.7347 0.7468 1
O11 O 0.6758 0.8076 0.0980 1
O12 O 0.7354 0.4986 0.8504 1
O13 O 0.7801 0.3815 0.1285 1
O14 O 0.9085 0.7655 0.6695 1
O15 O 0.9197 0.1119 0.9577 1
O16 O 0.9255 0.2307 0.6794 1
```

The crystal system is triclinic. Its formation energy is -0.918 eV per atom. Its space group is No. 2.

***

No. 8
Entry from the Materials Project database: a relaxed NdSi3Rh crystal (r²SCAN).

Cell and atoms, written as CIF:
```
data_NdSi3Rh
_symmetry_space_group_name_H-M 'P 1'
_symmetry_Int_Tables_number 1
_cell_length_a 5.7440
_cell_length_b 5.7440
_cell_length_c 5.7440
_cell_angle_alpha 136.81
_cell_angle_beta 136.81
_cell_angle_gamma 62.73
loop_
_symmetry_equiv_pos_as_xyz
'x,y,z'
loop_
_atom_site_label
_atom_site_type_symbol
_atom_site_fract_x
_atom_site_fract_y
_atom_site_fract_z
_atom_site_occupancy
Nd1 Nd 0.0000 0.0000 0.0000 1
Si1 Si 0.2631 0.7631 0.5000 1
Si2 Si 0.4136 0.4136 0.0000 1
Si3 Si 0.7631 0.2631 0.5000 1
Rh1 Rh 0.6546 0.6546 0.0000 1
```

The crystal system is tetragonal. Its formation energy is -0.831 eV per atom. Its space group is No. 107.

***

No. 9
Entry from the Materials Project database: a relaxed TbMg2Cu9 crystal (r²SCAN).

Cell and atoms, written as CIF:
```
data_TbMg2Cu9
_symmetry_space_group_name_H-M 'P 1'
_symmetry_Int_Tables_number 1
_cell_length_a 4.9562
_cell_length_b 4.9562
_cell_length_c 16.0541
_cell_angle_alpha 90.00
_cell_angle_beta 90.00
_cell_angle_gamma 120.00
loop_
_symmetry_equiv_pos_as_xyz
'x,y,z'
loop_
_atom_site_label
_atom_site_type_symbol
_atom_site_fract_x
_atom_site_fract_y
_atom_site_fract_z
_atom_site_occupancy
Tb1 Tb 0.3333 0.6667 0.2500 1
Tb2 Tb 0.6667 0.3333 0.7500 1
Mg1 Mg 0.3333 0.6667 0.0321 1
Mg2 Mg 0.3333 0.6667 0.4679 1
Mg3 Mg 0.6667 0.3333 0.5321 1
Mg4 Mg 0.6667 0.3333 0.9679 1
Cu1 Cu 0.0000 0.0000 0.0000 1
Cu2 Cu 0.0000 0.0000 0.2500 1
Cu3 Cu 0.0000 0.0000 0.5000 1
Cu4 Cu 0.0000 0.0000 0.7500 1
Cu5 Cu 0.1678 0.3355 0.6234 1
Cu6 Cu 0.1678 0.3355 0.8766 1
Cu7 Cu 0.1678 0.8322 0.6234 1
Cu8 Cu 0.1678 0.8322 0.8766 1
Cu9 Cu 0.3333 0.6667 0.7500 1
Cu10 Cu 0.3355 0.1678 0.1234 1
Cu11 Cu 0.3355 0.1678 0.3766 1
Cu12 Cu 0.6645 0.8322 0.6234 1
Cu13 Cu 0.6645 0.8322 0.8766 1
Cu14 Cu 0.6667 0.3333 0.2500 1
Cu15 Cu 0.8322 0.1678 0.1234 1
Cu16 Cu 0.8322 0.1678 0.3766 1
Cu17 Cu 0.8322 0.6645 0.1234 1
Cu18 Cu 0.8322 0.6645 0.3766 1
```

The crystal system is hexagonal. Its formation energy is -0.171 eV per atom. Its space group is No. 194.

***

No. 10
Entry from the Materials Project database: a relaxed Mg5In crystal (r²SCAN).

Cell and atoms, written as CIF:
```
data_Mg5In
_symmetry_space_group_name_H-M 'P 1'
_symmetry_Int_Tables_number 1
_cell_length_a 6.0620
_cell_length_b 6.0620
_cell_length_c 6.0620
_cell_angle_alpha 53.72
_cell_angle_beta 53.72
_cell_angle_gamma 53.72
loop_
_symmetry_equiv_pos_as_xyz
'x,y,z'
loop_
_atom_site_label
_atom_site_type_symbol
_atom_site_fract_x
_atom_site_fract_y
_atom_site_fract_z
_atom_site_occupancy
Mg1 Mg 0.0000 0.6664 0.3336 1
Mg2 Mg 0.1673 0.1673 0.1673 1
Mg3 Mg 0.3336 0.0000 0.6664 1
Mg4 Mg 0.6664 0.3336 0.0000 1
Mg5 Mg 0.8327 0.8327 0.8327 1
In1 In 0.5000 0.5000 0.5000 1
```

The crystal system is trigonal. Its formation energy is -0.052 eV per atom. Its space group is No. 155.

***

No. 11
Entry from the Materials Project database: a relaxed TbErHg2 crystal (r²SCAN).

Cell and atoms, written as CIF:
```
data_TbErHg2
_symmetry_space_group_name_H-M 'P 1'
_symmetry_Int_Tables_number 1
_cell_length_a 5.2089
_cell_length_b 5.2089
_cell_length_c 5.2089
_cell_angle_alpha 60.00
_cell_angle_beta 60.00
_cell_angle_gamma 60.00
loop_
_symmetry_equiv_pos_as_xyz
'x,y,z'
loop_
_atom_site_label
_atom_site_type_symbol
_atom_site_fract_x
_atom_site_fract_y
_atom_site_fract_z
_atom_site_occupancy
Tb1 Tb 0.0000 0.0000 0.0000 1
Er1 Er 0.5000 0.5000 0.5000 1
Hg1 Hg 0.2500 0.2500 0.2500 1
Hg2 Hg 0.7500 0.7500 0.7500 1
```

The crystal system is cubic. Its formation energy is -0.577 eV per atom. Its space group is No. 225.

***

No. 12
Entry from the Materials Project database: a relaxed Re4Cl8O9 crystal (r²SCAN).

Cell and atoms, written as CIF:
```
data_Re4Cl8O9
_symmetry_space_group_name_H-M 'P 1'
_symmetry_Int_Tables_number 1
_cell_length_a 6.0784
_cell_length_b 6.2142
_cell_length_c 12.7385
_cell_angle_alpha 76.47
_cell_angle_beta 87.88
_cell_angle_gamma 83.84
loop_
_symmetry_equiv_pos_as_xyz
'x,y,z'
loop_
_atom_site_label
_atom_site_type_symbol
_atom_site_fract_x
_atom_site_fract_y
_atom_site_fract_z
_atom_site_occupancy
Re1 Re 0.1307 0.1720 0.3482 1
Re2 Re 0.1525 0.3949 0.8907 1
Re3 Re 0.8475 0.6051 0.1093 1
Re4 Re 0.8693 0.8280 0.6518 1
Cl1 Cl 0.1488 0.7851 0.1319 1
Cl2 Cl 0.2536 0.3572 0.7181 1
Cl3 Cl 0.2703 0.3938 0.4346 1
Cl4 Cl 0.3617 0.6932 0.8562 1
Cl5 Cl 0.6383 0.3068 0.1438 1
Cl6 Cl 0.7297 0.6062 0.5654 1
Cl7 Cl 0.7464 0.6428 0.2819 1
Cl8 Cl 0.8512 0.2149 0.8681 1
O1 O 0.0000 0.5000 0.0000 1
O2 O 0.1024 0.3022 0.2127 1
O3 O 0.1217 0.8974 0.5990 1
O4 O 0.3057 0.9350 0.3592 1
O5 O 0.3265 0.1907 0.9617 1
O6 O 0.6735 0.8093 0.0383 1
O7 O 0.6943 0.0650 0.6408 1
O8 O 0.8783 0.1026 0.4010 1
O9 O 0.8976 0.6978 0.7873 1
```

The crystal system is triclinic. Its formation energy is -1.189 eV per atom. Its space group is No. 2.

***

Calculated values (μB/atom) of total magnetic moment for the records, taken in order: 0.00 0.00 0.00 0.83 0.00 0.00 0.25 0.00 0.00 0.00 0.00 0.00.